PBE+U Li3MnCoO5, relaxed; DFT total energy = -5.939 eV per atom; calculated density = 3999 kg/m³; SG = P-1 (2); offset from the most stable computed form = 20 meV per atom; ΔE_f = -1.9393 eV/atom
1.0
2.906 0.000 0.000
-1.437 6.374 0.000
-0.262 -1.969 9.626
Li Mn Co O
6 2 2 10
Cartesian
0.000 0.000 0.000 Li
-0.039 0.671 2.803 Li
-0.216 2.168 8.651 Li
1.322 -0.984 4.813 Li
1.422 2.237 0.975 Li
1.246 3.734 6.823 Li
-0.009 4.781 1.871 Mn
1.216 -0.376 7.755 Mn
-0.177 1.389 5.793 Co
1.383 3.016 3.833 Co
-0.231 -0.580 6.408 O
-0.241 0.027 8.969 O
0.024 2.791 2.464 O
-0.166 3.341 5.176 O
-0.216 4.207 8.122 O
1.422 0.199 1.504 O
1.372 1.064 4.450 O
1.183 1.615 7.162 O
1.447 4.378 0.657 O
1.438 4.985 3.218 O

PBE+U Li3MnCoO5, relaxed; DFT total energy = -5.793 eV per atom; calculated density = 3877 kg/m³; SG = C2/m (12); offset from the most stable computed form = 167 meV per atom; ΔE_f = -1.7932 eV/atom
1.0
2.654 -1.419 0.000
2.654 1.419 0.000
-0.373 0.000 24.426
Li Mn Co O
6 2 2 10
Cartesian
0.000 0.000 0.000 Li
0.434 0.000 7.393 Li
1.336 0.000 22.129 Li
2.467 0.000 12.213 Li
3.598 0.000 2.298 Li
4.500 0.000 17.034 Li
2.035 0.000 4.916 Mn
2.899 0.000 19.510 Mn
0.837 0.000 14.632 Co
4.097 0.000 9.794 Co
0.156 0.000 3.850 O
0.723 0.000 10.882 O
0.973 0.000 18.357 O
1.840 0.000 1.249 O
2.161 0.000 8.704 O
2.774 0.000 15.723 O
3.094 0.000 23.178 O
3.961 0.000 6.069 O
4.212 0.000 13.544 O
4.778 0.000 20.576 O

PBE+U Li7Mn4CoO12, relaxed; DFT total energy = -6.231 eV per atom; calculated density = 3999 kg/m³; offset from the most stable computed form = 17 meV per atom; ΔE_f = -2.0670 eV/atom
1.0
-2.293 3.939 2.266
-11.518 -3.962 -8.667
-0.628 -4.572 3.769
Li Mn Co O
14 8 2 24
Cartesian
-7.424 -1.849 1.607 Li
-12.037 -5.800 -3.860 Li
-7.110 0.436 -0.277 Li
-11.723 -3.514 -5.744 Li
-2.825 -3.814 2.074 Li
-9.731 -3.825 -1.126 Li
-2.519 1.171 1.228 Li
-7.131 -2.779 -4.239 Li
-4.796 -0.288 1.418 Li
-9.409 -4.238 -4.049 Li
-2.761 -1.149 3.067 Li
-7.373 -5.099 -2.400 Li
-5.182 -2.540 3.348 Li
-9.795 -6.491 -2.118 Li
-0.058 -0.010 -0.002 Mn
-6.962 -0.021 -3.202 Mn
-4.964 -3.045 0.381 Mn
-11.871 -3.057 -2.819 Mn
-0.360 -2.309 1.876 Mn
-7.264 -2.320 -1.324 Mn
-4.663 -0.746 -1.496 Mn
-11.569 -0.758 -4.697 Mn
-9.417 -1.539 -3.011 Co
-2.511 -1.528 0.190 Co
-1.485 -2.830 3.344 O
-8.389 -2.841 0.144 O
-4.166 -4.798 0.805 O
-11.072 -4.810 -2.396 O
-1.401 -0.713 1.564 O
-8.306 -0.724 -1.636 O
-3.622 -2.343 -1.185 O
-10.527 -2.354 -4.386 O
-3.571 0.080 -0.196 O
-10.477 0.068 -3.397 O
-3.744 0.804 2.842 O
-8.356 -3.146 -2.625 O
-3.843 -2.070 1.567 O
-10.749 -2.081 -1.636 O
-3.471 2.954 1.079 O
-8.084 -0.997 -4.386 O
-5.991 -1.364 -0.105 O
-10.604 -5.315 -5.572 O
-5.936 -1.702 -2.716 O
-12.842 -1.713 -5.917 O
-5.773 0.819 -1.837 O
-10.387 -3.132 -7.304 O
-6.153 -3.885 -0.983 O
-13.059 -3.897 -4.185 O

PBE+U Li4MnCo2O7, relaxed; DFT total energy = -5.825 eV per atom; calculated density = 4141 kg/m³; SG = Cm (8); offset from the most stable computed form = 52 meV per atom; ΔE_f = -1.8324 eV/atom
1.0
4.886 -1.433 0.000
4.886 1.433 0.000
-2.150 0.000 17.899
Li Mn Co O
8 2 4 14
Cartesian
0.000 0.000 0.000 Li
-1.054 0.000 8.867 Li
0.748 0.000 5.136 Li
1.572 0.000 9.979 Li
2.378 0.000 15.220 Li
5.206 0.000 2.493 Li
5.930 0.000 7.730 Li
6.886 0.000 12.581 Li
4.291 0.000 11.271 Mn
4.949 0.000 16.546 Mn
-0.214 0.000 13.884 Co
2.569 0.000 1.275 Co
3.316 0.000 6.549 Co
7.907 0.000 3.807 Co
-0.288 0.000 6.869 O
-1.118 0.000 15.907 O
0.576 0.000 11.933 O
1.864 0.000 3.241 O
1.266 0.000 17.179 O
2.446 0.000 8.090 O
4.157 0.000 4.331 O
3.523 0.000 13.256 O
5.082 0.000 9.633 O
6.192 0.000 0.679 O
5.841 0.000 14.467 O
7.143 0.000 5.516 O
8.686 0.000 2.012 O
7.963 0.000 10.852 O

PBE+U Li4MnCo3O8, relaxed; DFT total energy = -5.895 eV per atom; calculated density = 4462 kg/m³; SG = P-1 (2); offset from the most stable computed form = 3 meV per atom; ΔE_f = -1.7935 eV/atom
1.0
2.941 0.000 0.000
0.106 5.061 0.000
0.283 1.777 9.687
Li Mn Co O
4 1 3 8
Cartesian
0.102 1.710 2.433 Li
1.610 4.241 2.383 Li
1.721 2.597 7.304 Li
3.229 5.127 7.255 Li
0.195 3.419 4.844 Mn
0.000 0.000 0.000 Co
1.612 0.888 4.844 Co
1.524 2.530 0.000 Co
0.112 3.399 1.134 O
0.263 5.143 3.821 O
1.513 2.515 3.742 O
1.786 5.968 8.565 O
1.545 0.870 1.122 O
1.818 4.322 5.945 O
3.068 1.694 5.866 O
3.218 3.438 8.553 O

PBE+U Li4MnCo2O7, relaxed; DFT total energy = -5.842 eV per atom; calculated density = 4107 kg/m³; SG = Cm (8); offset from the most stable computed form = 35 meV per atom; ΔE_f = -1.8489 eV/atom
1.0
7.665 -1.445 0.000
7.665 1.445 0.000
-6.259 0.000 11.407
Li Mn Co O
8 2 4 14
Cartesian
0.000 0.000 0.000 Li
-1.105 0.000 4.012 Li
2.829 0.000 0.833 Li
0.676 0.000 9.126 Li
4.629 0.000 5.654 Li
8.629 0.000 2.296 Li
6.339 0.000 10.647 Li
10.197 0.000 7.412 Li
-2.273 0.000 8.150 Mn
5.789 0.000 1.560 Mn
1.779 0.000 4.861 Co
3.297 0.000 9.993 Co
7.473 0.000 6.538 Co
11.396 0.000 3.228 Co
-0.659 0.000 2.013 O
-1.588 0.000 6.254 O
-2.874 0.000 9.951 O
2.388 0.000 2.856 O
1.069 0.000 6.924 O
-0.027 0.000 11.187 O
5.134 0.000 3.553 O
4.182 0.000 7.714 O
9.221 0.000 0.329 O
8.156 0.000 4.605 O
6.677 0.000 8.505 O
12.136 0.000 1.297 O
10.711 0.000 5.197 O
9.772 0.000 9.382 O

PBE+U Li3MnCoO5, relaxed; DFT total energy = -5.789 eV per atom; calculated density = 3792 kg/m³; SG = C2/m (12); offset from the most stable computed form = 170 meV per atom; ΔE_f = -1.7895 eV/atom
1.0
2.634 -1.448 0.000
2.634 1.448 0.000
-0.733 0.000 24.640
Li Mn Co O
6 2 2 10
Cartesian
0.000 0.000 0.000 Li
0.295 0.000 7.317 Li
0.969 0.000 22.230 Li
2.268 0.000 12.320 Li
3.567 0.000 2.410 Li
4.241 0.000 17.323 Li
0.619 0.000 14.801 Mn
3.917 0.000 9.840 Mn
1.954 0.000 4.935 Co
2.582 0.000 19.705 Co
0.155 0.000 3.878 O
0.583 0.000 10.991 O
0.766 0.000 18.567 O
1.812 0.000 1.263 O
1.994 0.000 8.722 O
2.542 0.000 15.918 O
2.724 0.000 23.378 O
3.770 0.000 6.073 O
3.953 0.000 13.649 O
4.381 0.000 20.763 O

PBE+U Li7Mn4CoO12, relaxed; DFT total energy = -6.183 eV per atom; calculated density = 3875 kg/m³; SG = P1 (1); offset from the most stable computed form = 65 meV per atom; ΔE_f = -2.0189 eV/atom
1.0
3.016 0.000 0.000
-1.136 4.971 0.000
-0.887 -1.791 14.840
Li Mn Co O
7 4 1 12
Cartesian
0.000 0.000 0.000 Li
-1.060 3.385 3.638 Li
-0.962 1.715 7.375 Li
0.228 1.045 4.753 Li
-0.672 2.708 12.341 Li
0.663 2.156 9.859 Li
1.754 0.557 2.487 Li
-0.941 -0.053 11.100 Mn
0.356 -0.617 8.590 Mn
0.574 3.861 6.029 Mn
0.770 0.495 13.618 Mn
0.309 2.798 1.319 Co
-1.046 4.017 1.753 O
-0.910 0.708 9.267 O
-0.938 2.703 5.575 O
0.245 0.065 6.730 O
-0.800 3.605 10.406 O
0.290 1.981 2.856 O
-0.555 1.750 14.312 O
0.528 3.084 7.901 O
1.623 1.536 0.556 O
1.724 -0.255 4.411 O
0.793 1.257 11.784 O
2.038 -0.830 12.899 O

PBE+U Li4MnCo2O7, relaxed; DFT total energy = -5.856 eV per atom; calculated density = 4191 kg/m³; SG = P-1 (2); offset from the most stable computed form = 20 meV per atom; ΔE_f = -1.8638 eV/atom
1.0
5.897 0.000 0.000
1.583 6.323 0.000
2.852 2.593 6.643
Li Mn Co O
8 2 4 14
Cartesian
0.000 0.000 0.000 Li
1.447 1.612 1.871 Li
4.354 4.880 5.770 Li
4.457 5.622 2.831 Li
2.948 0.000 0.000 Li
5.875 3.294 3.812 Li
5.978 4.036 0.873 Li
8.885 7.304 4.772 Li
2.918 3.292 3.820 Mn
7.414 5.624 2.823 Mn
2.992 3.971 0.939 Co
5.880 7.305 4.827 Co
4.452 1.611 1.816 Co
7.339 4.945 5.704 Co
2.912 5.205 4.166 O
4.589 6.888 6.144 O
2.893 5.832 1.480 O
2.951 1.422 3.345 O
4.320 2.954 5.086 O
2.969 2.076 0.513 O
4.219 3.577 2.393 O
6.112 5.339 4.251 O
7.363 6.840 6.130 O
6.012 5.963 1.558 O
7.381 7.494 3.299 O
7.439 3.084 5.163 O
5.742 2.028 0.499 O
7.420 3.711 2.477 O

PBE+U Li7Mn2Co3O12, relaxed; DFT total energy = -5.849 eV per atom; calculated density = 4055 kg/m³; SG = C2/m (12); offset from the most stable computed form = 80 meV per atom; ΔE_f = -1.8532 eV/atom
1.0
14.564 -1.458 0.000
14.564 1.458 0.000
-0.819 0.000 5.085
Li Mn Co O
7 2 3 12
Cartesian
0.000 0.000 0.000 Li
1.954 0.000 2.083 Li
7.079 0.000 1.320 Li
12.181 0.000 0.396 Li
16.127 0.000 4.689 Li
21.229 0.000 3.765 Li
26.354 0.000 3.002 Li
4.156 0.000 4.240 Mn
24.152 0.000 0.845 Mn
9.192 0.000 3.392 Co
14.154 0.000 2.543 Co
19.117 0.000 1.693 Co
0.495 0.000 3.469 O
3.639 0.000 0.563 O
5.507 0.000 2.822 O
7.807 0.000 5.019 O
10.524 0.000 1.745 O
12.861 0.000 3.834 O
15.447 0.000 1.251 O
17.785 0.000 3.340 O
20.501 0.000 0.066 O
22.801 0.000 2.263 O
24.669 0.000 4.522 O
27.813 0.000 1.616 O

PBE+U Li3MnCoO5, relaxed; DFT total energy = -5.941 eV per atom; calculated density = 3995 kg/m³; SG = P1 (1); offset from the most stable computed form = 18 meV per atom; ΔE_f = -1.9419 eV/atom
1.0
5.049 0.000 0.000
-1.705 5.624 0.000
-0.893 -1.877 6.286
Li Mn Co O
6 2 2 10
Cartesian
0.000 0.000 0.000 Li
-1.723 0.907 6.263 Li
-0.032 1.504 2.471 Li
-0.042 2.967 5.020 Li
2.589 0.758 1.181 Li
2.511 2.226 3.795 Li
-0.863 4.300 2.478 Mn
0.835 0.170 5.045 Mn
1.684 3.531 1.188 Co
3.363 -0.534 3.812 Co
-0.810 1.043 4.374 O
-1.654 4.109 4.311 O
0.042 4.522 0.805 O
0.957 1.799 0.480 O
1.606 0.353 3.219 O
0.762 3.408 3.073 O
1.546 1.837 5.614 O
2.405 -0.803 5.548 O
3.319 2.696 1.920 O
4.315 -0.377 1.904 O

PBE+U Li7Mn2Co3O12, relaxed; DFT total energy = -5.911 eV per atom; calculated density = 4087 kg/m³; SG = C2 (5); offset from the most stable computed form = 18 meV per atom; ΔE_f = -1.9159 eV/atom
1.0
4.903 -4.391 0.000
4.903 4.391 0.000
-0.866 0.000 4.974
Li Mn Co O
7 2 3 12
Cartesian
0.000 0.000 0.000 Li
2.183 1.437 1.202 Li
1.784 0.013 3.748 Li
2.209 -1.463 1.252 Li
6.757 1.437 3.773 Li
7.156 0.013 1.226 Li
6.731 -1.463 3.722 Li
4.903 1.480 0.000 Mn
4.470 -2.957 2.487 Mn
4.470 2.994 2.487 Co
4.470 -0.004 2.487 Co
4.903 -1.557 0.000 Co
3.698 2.801 0.702 O
0.786 0.082 1.939 O
3.254 1.449 3.226 O
5.242 2.801 4.273 O
3.747 0.028 0.616 O
5.686 1.449 1.748 O
3.262 -1.494 3.098 O
5.194 0.028 4.359 O
3.664 -2.869 0.747 O
5.678 -1.494 1.876 O
8.154 0.082 3.035 O
5.276 -2.869 4.227 O

PBE+U Li3MnCoO5, relaxed; DFT total energy = -5.879 eV per atom; calculated density = 3924 kg/m³; SG = P1 (1); offset from the most stable computed form = 80 meV per atom; ΔE_f = -1.8795 eV/atom
1.0
2.987 0.000 0.000
1.469 6.273 0.000
0.442 1.723 9.698
Li Mn Co O
6 2 2 10
Cartesian
0.000 0.000 0.000 Li
1.517 5.618 2.735 Li
1.817 4.101 8.639 Li
1.706 0.885 4.847 Li
2.968 4.100 0.883 Li
3.271 2.478 6.729 Li
1.507 1.616 1.797 Mn
3.091 3.303 3.791 Mn
1.713 4.881 5.788 Co
3.302 6.510 7.782 Co
1.636 6.725 6.282 O
1.945 6.095 9.014 O
1.426 3.546 2.385 O
1.785 2.987 5.242 O
1.821 1.956 8.083 O
2.996 6.095 1.433 O
3.155 5.164 4.380 O
3.258 4.636 7.204 O
2.999 1.983 0.593 O
3.016 1.415 3.161 O